(1)
Here is crystalline VIO7 at its relaxed geometry from Materials Project. Energies are from GGA+U.

abc: 10.5746 8.3583 6.9978
angles: 90.00 101.34 90.00
Space group P2_1/c (No. 14)
One atom of each set of equivalent atoms:
V1 0.2376 0.1991 0.4459 (multiplicity 4)
I1 0.4809 0.5205 0.2609 (multiplicity 4)
O1 0.1014 0.0130 0.8689 (multiplicity 4)
O2 0.1030 0.1054 0.4283 (multiplicity 4)
O3 0.1497 0.6212 0.3847 (multiplicity 4)
O4 0.2527 0.2075 0.1842 (multiplicity 4)
O5 0.3675 0.0497 0.5193 (multiplicity 4)
O6 0.3868 0.0747 0.9319 (multiplicity 4)
O7 0.4155 0.7187 0.2475 (multiplicity 4)

Calculated values
Total energy after the MP2020 corrections (eV per atom): -5.88
Calculated density (g cm⁻³): 3.17



(2)
Here is crystalline VIO7 at its relaxed geometry from Materials Project. Energies are from GGA+U.

abc: 9.6394 11.4943 6.7823
angles: 90.00 93.24 90.00
Space group P2_1/c (No. 14)
One atom of each set of equivalent atoms:
V1 0.1800 0.2228 0.4242 (multiplicity 4)
I1 0.2835 0.0238 0.7634 (multiplicity 4)
O1 0.0232 0.1737 0.4243 (multiplicity 4)
O2 0.1368 0.1033 0.8646 (multiplicity 4)
O3 0.2341 0.2171 0.1771 (multiplicity 4)
O4 0.2523 0.6988 0.8638 (multiplicity 4)
O5 0.2854 0.0800 0.5030 (multiplicity 4)
O6 0.3382 0.7467 0.7634 (multiplicity 4)
O7 0.4292 0.0954 0.8819 (multiplicity 4)

Calculated values
Total energy after the MP2020 corrections (eV per atom): -5.88
Calculated density (g cm⁻³): 2.57